Run 1
Density functional theory data (PBE) for a relaxed Ti3O5 crystal.

Values from the calculation:
- calculated volume (Å³/cell) = 1295.45

Unit cell a=10.7999 b=10.8083 c=11.1835 alpha=90.55 beta=83.06 gamma=91.43
Positions (direct):
Ti: 0.6960 0.7413 0.5776
Ti: 0.2517 0.6433 0.7214
Ti: 0.4428 0.8562 0.6459
Ti: 0.5381 0.0625 0.9594
Ti: 0.3224 0.4007 0.2988
Ti: 0.9930 0.5661 0.1040
Ti: 0.4982 0.3522 0.9996
Ti: 0.7874 0.2660 0.0260
Ti: 0.6404 0.9477 0.4439
Ti: 0.0115 0.2866 0.8540
Ti: 0.7341 0.4596 0.5589
Ti: 0.9641 0.2364 0.5220
Ti: 0.3104 0.7835 0.9262
Ti: 0.8334 0.9959 0.9915
Ti: 0.9638 0.7097 0.6186
Ti: 0.0813 0.6485 0.3082
Ti: 0.3824 0.0678 0.5332
Ti: 0.5153 0.5284 0.7424
Ti: 0.6996 0.6132 0.9797
Ti: 0.0770 0.8524 0.1622
Ti: 0.7772 0.9401 0.7343
Ti: 0.3427 0.8895 0.3552
Ti: 0.0847 0.0560 0.9887
Ti: 0.3176 0.1422 0.1833
Ti: 0.7756 0.2688 0.3486
Ti: 0.7691 0.7646 0.2792
Ti: 0.2387 0.4339 0.8667
Ti: 0.9669 0.5205 0.8547
Ti: 0.0843 0.8610 0.8038
Ti: 0.6131 0.0865 0.2515
Ti: 0.5177 0.3424 0.4967
Ti: 0.2162 0.4055 0.5964
Ti: 0.3382 0.6577 0.2164
Ti: 0.6252 0.4562 0.2401
Ti: 0.0846 0.0695 0.6570
Ti: 0.5082 0.8417 0.0828
Ti: 0.9692 0.9130 0.4814
Ti: 0.0942 0.1195 0.3131
Ti: 0.2992 0.1494 0.7914
O: 0.7947 0.8283 0.4415
O: 0.1320 0.6657 0.1257
O: 0.9301 0.1549 0.9715
O: 0.6120 0.5906 0.5883
O: 0.5083 0.1838 0.5347
O: 0.6717 0.4278 0.4066
O: 0.2444 0.6146 0.8919
O: 0.1473 0.0346 0.8162
O: 0.6251 0.2430 0.9664
O: 0.0296 0.7385 0.4519
O: 0.4325 0.6821 0.7217
O: 0.9774 0.2016 0.7075
O: 0.1793 0.2479 0.8991
O: 0.9820 0.5119 0.2554
O: 0.6618 0.7761 0.0293
O: 0.0643 0.4542 0.9792
O: 0.7841 0.3490 0.1711
O: 0.2648 0.8225 0.7585
O: 0.2176 0.7944 0.2763
O: 0.0726 0.3614 0.5216
O: 0.7226 0.1046 0.3854
O: 0.0655 0.0848 0.4854
O: 0.6247 0.8948 0.6652
O: 0.2203 0.5373 0.3101
O: 0.5755 0.3844 0.6522
O: 0.4558 0.5256 0.2507
O: 0.8736 0.6129 0.9937
O: 0.3902 0.7044 0.0538
O: 0.4490 0.9052 0.9306
O: 0.8007 0.2997 0.5309
O: 0.0486 0.6726 0.7642
O: 0.4745 0.0376 0.1356
O: 0.3930 0.3091 0.1372
O: 0.8519 0.3784 0.8938
O: 0.4083 0.1596 0.9161
O: 0.6962 0.0188 0.8743
O: 0.7220 0.0941 0.1021
O: 0.8558 0.0136 0.5991
O: 0.7009 0.6129 0.2490
O: 0.8537 0.5836 0.5693
O: 0.3260 0.8850 0.5221
O: 0.6081 0.4762 0.0565
O: 0.0561 0.8835 0.6327
O: 0.0217 0.9503 0.3088
O: 0.4010 0.0220 0.6987
O: 0.9474 0.2234 0.3360
O: 0.1044 0.4176 0.7515
O: 0.9086 0.9201 0.8436
O: 0.6800 0.9051 0.2600
O: 0.9348 0.7404 0.2175
O: 0.4186 0.4275 0.8812
O: 0.8088 0.7683 0.7045
O: 0.9545 0.9383 0.0809
O: 0.2401 0.1660 0.6224
O: 0.4897 0.0062 0.3800
O: 0.1662 0.8702 0.9843
O: 0.2120 0.2634 0.2867
O: 0.1680 0.0784 0.1307
O: 0.5528 0.7942 0.4956
O: 0.2237 0.5717 0.5752
O: 0.6366 0.5829 0.8367
O: 0.2764 0.0487 0.3335
O: 0.5849 0.2580 0.2906
O: 0.3536 0.3748 0.4621
O: 0.4555 0.7923 0.2524

***

Run 2
Density functional theory data (PBE) for a relaxed Ti3O5 crystal.

Values from the calculation:
- calculated volume (Å³/cell) = 187.73

Unit cell a=5.2891 b=5.2891 c=10.0209 alpha=88.90 beta=88.90 gamma=42.05
Positions (direct):
Ti: 0.8042 0.8042 0.7567
Ti: 0.1291 0.1291 0.9502
Ti: 0.1958 0.1958 0.2433
Ti: 0.8709 0.8709 0.0498
Ti: 0.8657 0.8657 0.4354
Ti: 0.1343 0.1343 0.5646
O: 0.0513 0.0513 0.3850
O: 0.3213 0.3213 0.0637
O: 0.9550 0.9550 0.8683
O: 0.0450 0.0450 0.1317
O: 0.6787 0.6787 0.9363
O: 0.2376 0.2376 0.7500
O: 0.6879 0.6879 0.5736
O: 0.7624 0.7624 0.2500
O: 0.9487 0.9487 0.6150
O: 0.3121 0.3121 0.4264

***

The structure with the least stability is run 1.